The following is a GGA-PBE calculation of a relaxed IrOsW crystal, from the Materials Project.

Properties
The symmetry is F-43m (216). The electronic total energy comes out at -10.41 eV/atom. The value obtained for the theoretical density is 17.5 g/cm3.

a b c (Å): 4.238 4.238 4.238
angles (deg): 60.00 60.00 60.00
Element x y z (fractional)
Ir1 0.500 0.500 0.500
Os1 0.750 0.750 0.750
W1 0.000 0.000 0.000